Density functional theory data (r²SCAN) for Er3Ga2Ge3 after structural relaxation.

a b c (Å): 5.9253 5.9253 9.3749
angles (deg): 90.00 90.00 77.36
Fractional positions:
Er (0.1583, 0.8417, 0.7500)
Er (0.3023, 0.3023, 0.0000)
Er (0.3023, 0.3023, 0.5000)
Er (0.6977, 0.6977, 0.0000)
Er (0.6977, 0.6977, 0.5000)
Er (0.8417, 0.1583, 0.2500)
Ga (0.1753, 0.8247, 0.0501)
Ga (0.1753, 0.8247, 0.4499)
Ga (0.8247, 0.1753, 0.5501)
Ga (0.8247, 0.1753, 0.9499)
Ge (0.0046, 0.5948, 0.2500)
Ge (0.4052, 0.9954, 0.2500)
Ge (0.4536, 0.5464, 0.2500)
Ge (0.5464, 0.4536, 0.7500)
Ge (0.5948, 0.0046, 0.7500)
Ge (0.9954, 0.4052, 0.7500)

Calculated values
Its magnetization is 0.0 μB per cell. The energy relative to the elements is -775 meV/atom. The volume is 20.07 A^3/atom.

---

Density functional theory data (r²SCAN) for ErGaNi after structural relaxation.

a b c (Å): 6.7471 4.2320 7.2143
angles (deg): 90.00 90.00 90.00
Fractional positions:
Er (0.0191, 0.2500, 0.1950)
Er (0.4809, 0.7500, 0.6950)
Er (0.5191, 0.2500, 0.3050)
Er (0.9809, 0.7500, 0.8050)
Ga (0.1743, 0.2500, 0.5759)
Ga (0.3257, 0.7500, 0.0759)
Ga (0.6743, 0.2500, 0.9241)
Ga (0.8257, 0.7500, 0.4241)
Ni (0.2111, 0.7500, 0.4022)
Ni (0.2889, 0.2500, 0.9022)
Ni (0.7111, 0.7500, 0.0978)
Ni (0.7889, 0.2500, 0.5978)

Calculated values
Its magnetization is 0.0 μB per cell. The energy relative to the elements is -689 meV/atom. The volume is 17.17 A^3/atom.

---

Density functional theory data (r²SCAN) for ErGa4Ni after structural relaxation.

a b c (Å): 7.7784 7.7784 6.5095
angles (deg): 90.00 90.00 149.82
Fractional positions:
Er (0.1204, 0.8796, 0.7500)
Er (0.8796, 0.1204, 0.2500)
Ga (0.0700, 0.9300, 0.2500)
Ga (0.3148, 0.6852, 0.5513)
Ga (0.3148, 0.6852, 0.9487)
Ga (0.5000, 0.5000, 0.0000)
Ga (0.5000, 0.5000, 0.5000)
Ga (0.6852, 0.3148, 0.0513)
Ga (0.6852, 0.3148, 0.4487)
Ga (0.9300, 0.0700, 0.7500)
Ni (0.2243, 0.7757, 0.2500)
Ni (0.7757, 0.2243, 0.7500)

Calculated values
Its magnetization is 0.0 μB per cell. The energy relative to the elements is -557 meV/atom. The volume is 16.50 A^3/atom.

---

Density functional theory data (r²SCAN) for Er2GaNi2 after structural relaxation.

a b c (Å): 5.2465 5.2465 5.2465
angles (deg): 133.43 119.65 79.50
Fractional positions:
Er (0.2017, 0.2017, 0.0000)
Er (0.7983, 0.7983, 0.0000)
Ga (0.5000, 0.0000, 0.5000)
Ni (0.2327, 0.5000, 0.7327)
Ni (0.7673, 0.5000, 0.2673)

Calculated values
Its magnetization is 0.0 μB per cell. The energy relative to the elements is -610 meV/atom. The volume is 17.65 A^3/atom.

---

Density functional theory data (r²SCAN) for Er2Ga3Ni after structural relaxation.

a b c (Å): 5.4682 5.4682 6.9759
angles (deg): 128.61 128.61 46.07
Fractional positions:
Er (0.0000, 0.0000, 0.0000)
Er (0.0847, 0.0847, 0.5868)
Ga (0.3690, 0.3690, 0.1713)
Ga (0.3970, 0.3970, 0.6118)
Ga (0.7089, 0.7089, 0.3893)
Ni (0.7131, 0.7131, 0.0137)

Calculated values
Its magnetization is 0.0 μB per cell. The energy relative to the elements is -707 meV/atom. The volume is 18.40 A^3/atom.

---

Density functional theory data (r²SCAN) for ErGa2Ni3 after structural relaxation.

a b c (Å): 8.6676 8.6676 4.0166
angles (deg): 90.00 90.00 120.00
Fractional positions:
Er (0.0000, 0.0000, 0.0000)
Er (0.3333, 0.6667, 0.5000)
Er (0.6667, 0.3333, 0.5000)
Ga (0.0000, 0.2709, 0.5000)
Ga (0.0000, 0.5210, 0.0000)
Ga (0.2709, 0.0000, 0.5000)
Ga (0.4790, 0.4790, 0.0000)
Ga (0.5210, 0.0000, 0.0000)
Ga (0.7291, 0.7291, 0.5000)
Ni (0.0000, 0.7076, 0.5000)
Ni (0.1729, 0.3740, 0.0000)
Ni (0.2011, 0.8271, 0.0000)
Ni (0.2924, 0.2924, 0.5000)
Ni (0.3740, 0.1729, 0.0000)
Ni (0.6260, 0.7989, 0.0000)
Ni (0.7076, 0.0000, 0.5000)
Ni (0.7989, 0.6260, 0.0000)
Ni (0.8271, 0.2011, 0.0000)

Calculated values
Its magnetization is 0.0 μB per cell. The energy relative to the elements is -579 meV/atom. The volume is 14.52 A^3/atom.

---

Density functional theory data (r²SCAN) for ErGaO3 after structural relaxation.

a b c (Å): 3.7818 3.7818 3.7818
angles (deg): 90.00 90.00 90.00
Fractional positions:
Er (0.0000, 0.0000, 0.0000)
Ga (0.5000, 0.5000, 0.5000)
O (0.0000, 0.5000, 0.5000)
O (0.5000, 0.0000, 0.5000)
O (0.5000, 0.5000, 0.0000)

Calculated values
Its magnetization is 0.0 μB per cell. The energy relative to the elements is -2712 meV/atom. The volume is 10.82 A^3/atom.

---

Density functional theory data (r²SCAN) for Er3GaO6 after structural relaxation.

a b c (Å): 6.9994 6.9994 5.3498
angles (deg): 90.00 90.00 102.83
Fractional positions:
Er (0.1017, 0.8983, 0.5000)
Er (0.2017, 0.4119, 0.5486)
Er (0.4119, 0.2017, 0.0486)
Er (0.5881, 0.7983, 0.5486)
Er (0.7983, 0.5881, 0.0486)
Er (0.8983, 0.1017, 0.0000)
Ga (0.3066, 0.6934, 0.0780)
Ga (0.6934, 0.3066, 0.5780)
O (0.0758, 0.6055, 0.2598)
O (0.1429, 0.1781, 0.2748)
O (0.1781, 0.1429, 0.7748)
O (0.2839, 0.7161, 0.7378)
O (0.3945, 0.9242, 0.2598)
O (0.4620, 0.5380, 0.2248)
O (0.5380, 0.4620, 0.7248)
O (0.6055, 0.0758, 0.7598)
O (0.7161, 0.2839, 0.2378)
O (0.8219, 0.8571, 0.2748)
O (0.8571, 0.8219, 0.7748)
O (0.9242, 0.3945, 0.7598)

Calculated values
Its magnetization is 0.0 μB per cell. The energy relative to the elements is -3523 meV/atom. The volume is 12.78 A^3/atom.